No. 1
V2Bi4O11 | GGA+U | optimized geometry

Properties
Excess energy over the best structure of this formula in the dataset in meV/atom: 40.6
Energy with MP2020 corrections in eV/cell: -242.6
Volume in Å³/cell: 521.1
Final energy in eV per atom: -6.491
Size of the total moment in μB/f.u.: 0.00

```
V2Bi4O11
1.0
5.945 0.000 0.000
0.000 5.648 0.000
-0.676 0.000 15.517
V Bi O
4 8 22
Direct
0.000 0.201 0.000
0.000 0.799 0.500
0.587 0.237 0.511
0.587 0.763 0.011
0.058 0.288 0.336
0.058 0.712 0.836
0.108 0.154 0.674
0.108 0.846 0.174
0.503 0.269 0.861
0.503 0.731 0.361
0.554 0.301 0.188
0.554 0.699 0.688
0.122 0.240 0.901
0.122 0.760 0.401
0.154 0.203 0.099
0.154 0.797 0.599
0.282 0.473 0.759
0.282 0.527 0.259
0.338 0.037 0.263
0.338 0.963 0.763
0.427 0.403 0.434
0.427 0.597 0.934
0.457 0.023 0.995
0.457 0.977 0.495
0.531 0.301 0.618
0.531 0.699 0.118
0.752 0.490 0.288
0.752 0.510 0.788
0.802 0.420 0.006
0.802 0.580 0.506
0.867 0.051 0.243
0.867 0.949 0.743
0.877 0.095 0.495
0.877 0.905 0.995
```

***

No. 2
VBiO2 | GGA+U | optimized geometry

Properties
Energy with MP2020 corrections in eV/cell: -110.7
Volume in Å³/cell: 250.9
Final energy in eV per atom: -6.152
Size of the total moment in μB/f.u.: 3.23

```
VBiO2
1.0
-3.180 3.180 6.205
3.180 -3.180 6.205
3.180 3.180 -6.205
V Bi O
4 4 8
Direct
0.000 0.000 0.000
0.000 0.000 0.500
0.000 0.500 0.000
0.500 0.000 0.500
0.000 0.500 0.500
0.500 0.000 0.000
0.500 0.500 0.000
0.500 0.500 0.500
0.159 0.697 0.463
0.266 0.303 0.963
0.303 0.266 0.463
0.303 0.841 0.037
0.697 0.159 0.963
0.697 0.734 0.537
0.734 0.697 0.037
0.841 0.303 0.537
```

***

No. 3
VBiO5 | GGA+U | optimized geometry

Properties
Excess energy over the best structure of this formula in the dataset in meV/atom: 62.6
Energy with MP2020 corrections in eV/cell: -385.2
Volume in Å³/cell: 1075.0
Final energy in eV per atom: -6.146
Size of the total moment in μB/f.u.: 0.49

```
VBiO5
1.0
6.013 0.000 0.000
0.000 15.446 0.000
0.000 0.000 11.575
V Bi O
8 8 40
Direct
0.022 0.114 0.100
0.022 0.386 0.600
0.478 0.614 0.100
0.478 0.886 0.600
0.522 0.114 0.400
0.522 0.386 0.900
0.978 0.614 0.400
0.978 0.886 0.900
0.079 0.708 0.678
0.079 0.792 0.178
0.421 0.208 0.678
0.421 0.292 0.178
0.579 0.708 0.822
0.579 0.792 0.322
0.921 0.208 0.822
0.921 0.292 0.322
0.118 0.538 0.330
0.118 0.962 0.830
0.121 0.202 0.204
0.121 0.298 0.704
0.160 0.666 0.509
0.160 0.834 0.009
0.233 0.144 0.802
0.233 0.356 0.302
0.249 0.071 0.047
0.249 0.429 0.547
0.251 0.571 0.047
0.251 0.929 0.547
0.267 0.644 0.802
0.267 0.856 0.302
0.340 0.166 0.509
0.340 0.334 0.009
0.379 0.702 0.204
0.379 0.798 0.704
0.382 0.038 0.330
0.382 0.462 0.830
0.618 0.538 0.170
0.618 0.962 0.670
0.621 0.202 0.296
0.621 0.298 0.796
0.660 0.666 0.991
0.660 0.834 0.491
0.733 0.144 0.698
0.733 0.356 0.198
0.749 0.071 0.453
0.749 0.429 0.953
0.751 0.571 0.453
0.751 0.929 0.953
0.767 0.644 0.698
0.767 0.856 0.198
0.840 0.166 0.991
0.840 0.334 0.491
0.879 0.702 0.296
0.879 0.798 0.796
0.882 0.038 0.170
0.882 0.462 0.670
```

***

No. 4
V2Bi4O11 | GGA+U | optimized geometry

Properties
Excess energy over the best structure of this formula in the dataset in meV/atom: 0.0
Energy with MP2020 corrections in eV/cell: -244.0
Volume in Å³/cell: 497.8
Final energy in eV per atom: -6.532
Size of the total moment in μB/f.u.: 0.00

```
V2Bi4O11
1.0
5.716 0.000 0.000
0.000 11.330 0.000
-2.674 0.000 7.686
V Bi O
4 8 22
Direct
0.010 0.000 0.023
0.419 0.747 0.003
0.581 0.247 0.997
0.990 0.500 0.977
0.099 0.734 0.331
0.243 0.240 0.345
0.299 0.985 0.654
0.348 0.494 0.663
0.652 0.994 0.337
0.701 0.485 0.346
0.757 0.740 0.655
0.901 0.234 0.669
0.010 0.366 0.501
0.026 0.115 0.487
0.039 0.508 0.200
0.156 0.398 0.907
0.198 0.631 0.963
0.257 0.071 0.184
0.283 0.872 0.053
0.342 0.199 0.815
0.459 0.625 0.488
0.464 0.776 0.805
0.470 0.875 0.477
0.530 0.375 0.523
0.536 0.276 0.195
0.541 0.125 0.512
0.658 0.699 0.185
0.717 0.372 0.947
0.743 0.571 0.816
0.802 0.131 0.037
0.844 0.898 0.093
0.961 0.008 0.800
0.974 0.615 0.513
0.990 0.866 0.499
```